Mg3Ti9O20: relaxed, meta-GGA r2SCAN.

Cell lengths 7.5319, 20.0043, 5.2152 Å; angles 90.00, 111.13, 90.00 degrees
Space group Cm (No. 8)
Asymmetric unit:
Mg: 0.0000 0.0000 0.0000 [2 per cell]
Mg: 0.1940 0.2508 0.7798 [4 per cell]
Ti: 0.0262 0.3406 0.1138 [4 per cell]
Ti: 0.0294 0.1577 0.1199 [4 per cell]
Ti: 0.1607 0.0934 0.6556 [4 per cell]
Ti: 0.1658 0.4064 0.6603 [4 per cell]
Ti: 0.4987 0.0000 0.9982 [2 per cell]
O: 0.0709 0.4344 0.2901 [4 per cell]
O: 0.0733 0.0684 0.2969 [4 per cell]
O: 0.1177 0.1821 0.4811 [4 per cell]
O: 0.1191 0.3195 0.4781 [4 per cell]
O: 0.2010 0.5000 0.8347 [2 per cell]
O: 0.2160 0.0000 0.8394 [2 per cell]
O: 0.2517 0.1567 0.0143 [4 per cell]
O: 0.2519 0.3442 0.0104 [4 per cell]
O: 0.4394 0.0914 0.7656 [4 per cell]
O: 0.4398 0.4093 0.7616 [4 per cell]
O: 0.4858 0.2496 0.9479 [4 per cell]

Summary:
spin magnetization: 4.04 μB per cell
calculated formation energy: -3264 meV/atom

Mg2Ti7O15: relaxed, meta-GGA r2SCAN.

Cell lengths 5.2160, 10.0008, 10.6203 Å; angles 90.00, 96.14, 90.00 degrees
Space group P2_1/m (No. 11)
Asymmetric unit:
Mg: 0.0089 0.2500 0.3981 [2 per cell]
Mg: 0.3250 0.7500 0.9351 [2 per cell]
Ti: 0.1070 0.5619 0.3799 [4 per cell]
Ti: 0.2251 0.0629 0.9567 [4 per cell]
Ti: 0.3418 0.2500 0.7311 [2 per cell]
Ti: 0.4396 0.5685 0.7129 [4 per cell]
O: 0.0413 0.2500 0.5962 [2 per cell]
O: 0.0757 0.6137 0.9841 [4 per cell]
O: 0.1498 0.0674 0.7709 [4 per cell]
O: 0.1860 0.5647 0.5628 [4 per cell]
O: 0.2581 0.1122 0.3483 [4 per cell]
O: 0.2959 0.7500 0.7407 [2 per cell]
O: 0.3708 0.2500 0.9205 [2 per cell]
O: 0.4139 0.6181 0.3174 [4 per cell]
O: 0.4776 0.0659 0.1035 [4 per cell]

Summary:
spin magnetization: 4.02 μB per cell
calculated formation energy: -3261 meV/atom

Mg5Ti13O30: relaxed, meta-GGA r2SCAN.

Cell lengths 5.2110, 10.0090, 10.5805 Å; angles 90.00, 96.29, 90.00 degrees
Space group Pm (No. 6)
Asymmetric unit:
Mg: 0.0000 0.0000 0.0000 [1 per cell]
Mg: 0.0156 0.5000 0.7973 [1 per cell]
Mg: 0.3308 0.0000 0.3322 [1 per cell]
Mg: 0.3471 0.5000 0.1293 [1 per cell]
Mg: 0.6671 0.0000 0.6669 [1 per cell]
Ti: 0.1149 0.1833 0.7770 [2 per cell]
Ti: 0.2326 0.3124 0.3511 [2 per cell]
Ti: 0.4506 0.1833 0.1086 [2 per cell]
Ti: 0.5625 0.3132 0.6893 [2 per cell]
Ti: 0.6807 0.5000 0.4637 [1 per cell]
Ti: 0.7801 0.1820 0.4447 [2 per cell]
Ti: 0.8964 0.3177 0.0206 [2 per cell]
O: 0.0382 0.5000 0.9914 [1 per cell]
O: 0.0827 0.1384 0.3836 [2 per cell]
O: 0.1498 0.3160 0.1701 [2 per cell]
O: 0.1956 0.1884 0.9609 [2 per cell]
O: 0.2638 0.3637 0.7471 [2 per cell]
O: 0.3100 0.0000 0.1382 [1 per cell]
O: 0.3788 0.5000 0.3286 [1 per cell]
O: 0.4171 0.1366 0.7154 [2 per cell]
O: 0.4892 0.3175 0.5029 [2 per cell]
O: 0.5254 0.1893 0.2946 [2 per cell]
O: 0.5963 0.3636 0.0811 [2 per cell]
O: 0.6399 0.0000 0.4706 [1 per cell]
O: 0.7097 0.5000 0.6534 [1 per cell]
O: 0.7514 0.1370 0.0496 [2 per cell]
O: 0.8171 0.3144 0.8355 [2 per cell]
O: 0.8621 0.1863 0.6274 [2 per cell]
O: 0.9263 0.3686 0.4151 [2 per cell]
O: 0.9767 0.0000 0.8052 [1 per cell]

Summary:
spin magnetization: 2.02 μB per cell
calculated formation energy: -3267 meV/atom

Y2MgTiO6: relaxed, meta-GGA r2SCAN.

Cell lengths 7.6545, 7.6545, 7.6545 Å; angles 90.00, 90.00, 90.00 degrees
Space group Fm-3m (No. 225)
Asymmetric unit:
Y: 0.2500 0.2500 0.2500 [8 per cell]
Mg: 0.0000 0.0000 0.0000 [4 per cell]
Ti: 0.0000 0.0000 0.5000 [4 per cell]
O: 0.0000 0.0000 0.2520 [24 per cell]

Summary:
spin magnetization: 0.00 μB per cell
calculated formation energy: -3294 meV/atom

Yb2MgTi2O6: relaxed, meta-GGA r2SCAN.

Cell lengths 5.3872, 5.3872, 15.8264 Å; angles 90.00, 90.00, 120.00 degrees
Space group R-3 (No. 148, hexagonal axes)
Asymmetric unit:
Yb: 0.0000 0.0000 0.1736 [6 per cell]
Mg: 0.0000 0.0000 0.0000 [3 per cell]
Ti: 0.0000 0.0000 0.3505 [6 per cell]
O: 0.0087 0.6352 0.5898 [18 per cell]

Summary:
relative energy among the computed polymorphs: 0.050 eV per atom
spin magnetization: 12.00 μB per cell
calculated formation energy: -3039 meV/atom

Yb2MgTi2O6: relaxed, meta-GGA r2SCAN.

Cell lengths 5.2875, 5.2875, 15.6012 Å; angles 90.00, 90.00, 120.00 degrees
Space group R-3 (No. 148, hexagonal axes)
Asymmetric unit:
Yb: 0.0000 0.0000 0.1225 [6 per cell]
Mg: 0.0000 0.0000 0.5000 [3 per cell]
Ti: 0.0000 0.0000 0.3282 [6 per cell]
O: 0.0073 0.4052 0.9068 [18 per cell]

Summary:
relative energy among the computed polymorphs: 0.000 eV per atom
spin magnetization: 6.43 μB per cell
calculated formation energy: -3089 meV/atom